[1]
{
  "formula": "NaMnP3O9",
  "functional": "PBE with a Hubbard U",
  "state": "optimized geometry",
  "e_tot_ev_per_atom": -7.136,
  "spacegroup": "P2_12_12_1",
  "lattice": [[8.793, 0.000, 0.000], [0.000, 8.827, 0.000], [0.000, 0.000, 9.063]],
  "species": ["O", "O", "Na", "O", "O", "O", "O", "O", "P", "Mn", "O", "O", "O", "O", "O", "O", "O", "O", "Mn", "P", "Mn", "P", "Na", "O", "O", "P", "O", "O", "O", "O", "Na", "P", "O", "Na", "O", "O", "O", "P", "O", "O", "O", "O", "P", "O", "O", "P", "P", "O", "O", "Mn", "O", "O", "P", "O", "P", "P"],
  "frac_coords": [[0.877, 0.889, 0.187], [0.264, 0.636, 0.555], [0.652, 0.368, 0.607], [0.894, 0.110, 0.370], [0.153, 0.852, 0.408], [0.236, 0.364, 0.055], [0.123, 0.389, 0.313], [0.736, 0.136, 0.945], [0.803, 0.307, 0.938], [0.127, 0.856, 0.163], [0.697, 0.408, 0.853], [0.803, 0.592, 0.353], [0.303, 0.908, 0.647], [0.367, 0.804, 0.139], [0.133, 0.196, 0.639], [0.588, 0.625, 0.081], [0.106, 0.610, 0.130], [0.606, 0.890, 0.870], [0.873, 0.356, 0.337], [0.968, 0.824, 0.812], [0.373, 0.144, 0.663], [0.303, 0.193, 0.062], [0.348, 0.868, 0.893], [0.394, 0.390, 0.630], [0.638, 0.034, 0.260], [0.805, 0.978, 0.310], [0.847, 0.352, 0.092], [0.138, 0.466, 0.740], [0.459, 0.219, 0.155], [0.088, 0.875, 0.919], [0.152, 0.132, 0.393], [0.532, 0.176, 0.312], [0.867, 0.696, 0.861], [0.848, 0.632, 0.107], [0.041, 0.781, 0.655], [0.653, 0.648, 0.592], [0.412, 0.125, 0.419], [0.195, 0.478, 0.190], [0.197, 0.092, 0.147], [0.862, 0.966, 0.760], [0.377, 0.611, 0.813], [0.623, 0.111, 0.687], [0.695, 0.022, 0.810], [0.959, 0.281, 0.845], [0.764, 0.864, 0.445], [0.305, 0.522, 0.690], [0.697, 0.693, 0.438], [0.347, 0.148, 0.908], [0.362, 0.534, 0.240], [0.627, 0.644, 0.837], [0.912, 0.375, 0.581], [0.633, 0.304, 0.361], [0.197, 0.807, 0.562], [0.541, 0.719, 0.345], [0.032, 0.324, 0.688], [0.468, 0.676, 0.188]]
}


[2]
{
  "formula": "Li2VSi6O15",
  "functional": "PBE with a Hubbard U",
  "state": "optimized geometry",
  "e_tot_ev_per_atom": -7.499,
  "lattice": [[-5.316, -2.513, 5.091], [5.600, -2.638, 5.032], [0.007, 9.516, 2.855]],
  "species": ["O", "O", "Li", "Si", "O", "V", "O", "Si", "O", "O", "Si", "O", "O", "O", "O", "O", "Li", "Si", "Si", "O", "O", "Si", "O", "Si", "O", "O", "O", "V", "O", "Si", "Li", "O", "O", "O", "Si", "Li", "O", "O", "O", "O", "O", "O", "O", "O", "Si", "Si", "O", "Si"],
  "frac_coords": [[0.119, 0.735, 0.375], [0.206, 0.969, 0.580], [0.391, 0.347, 0.207], [0.377, 0.964, 0.189], [0.073, 0.534, 0.695], [0.500, 0.500, 0.500], [0.265, 0.415, 0.387], [0.778, 0.352, 0.953], [0.081, 0.982, 0.814], [0.677, 0.018, 0.652], [0.263, 0.454, 0.757], [0.323, 0.982, 0.348], [0.581, 0.482, 0.314], [0.419, 0.518, 0.686], [0.561, 0.275, 0.508], [0.438, 0.725, 0.492], [0.110, 0.153, 0.293], [0.737, 0.546, 0.243], [0.123, 0.536, 0.311], [0.735, 0.585, 0.613], [0.882, 0.265, 0.625], [0.237, 0.046, 0.743], [0.919, 0.018, 0.186], [0.877, 0.464, 0.689], [0.794, 0.031, 0.420], [0.235, 0.085, 0.113], [0.765, 0.915, 0.887], [0.000, 0.000, 0.000], [0.927, 0.466, 0.305], [0.222, 0.648, 0.047], [0.890, 0.847, 0.707], [0.250, 0.250, 0.750], [0.706, 0.469, 0.080], [0.177, 0.518, 0.152], [0.763, 0.954, 0.257], [0.610, 0.653, 0.793], [0.938, 0.225, 0.992], [0.427, 0.966, 0.805], [0.294, 0.531, 0.920], [0.061, 0.775, 0.008], [0.750, 0.750, 0.250], [0.823, 0.482, 0.848], [0.618, 0.235, 0.875], [0.382, 0.765, 0.125], [0.278, 0.852, 0.453], [0.623, 0.036, 0.811], [0.573, 0.034, 0.195], [0.722, 0.148, 0.547]]
}


[3]
{
  "formula": "Li2MnSiO4",
  "functional": "PBE with a Hubbard U",
  "state": "optimized geometry",
  "e_tot_ev_per_atom": -6.899,
  "lattice": [[4.724, -3.965, 1.489], [-4.096, -5.758, -2.339], [2.961, 0.821, -7.208]],
  "species": ["Mn", "O", "O", "Li", "O", "O", "O", "Li", "O", "Si", "Si", "O", "Li", "O", "Si", "Li", "O", "Mn", "O", "O", "Mn", "O", "O", "O", "O", "Li", "Si", "Li", "Li", "O", "Li", "Mn"],
  "frac_coords": [[0.000, 0.500, 0.179], [0.756, 0.962, 0.167], [0.244, 0.538, 0.667], [0.750, 0.177, 0.000], [0.965, 0.700, 0.992], [0.256, 0.038, 0.833], [0.756, 0.462, 0.667], [0.250, 0.323, 0.500], [0.535, 0.200, 0.508], [0.250, 0.674, 0.500], [0.250, 0.174, 0.000], [0.744, 0.462, 0.333], [0.750, 0.677, 0.500], [0.465, 0.800, 0.508], [0.750, 0.826, 0.000], [0.500, 0.500, 0.190], [0.965, 0.200, 0.492], [0.500, 0.000, 0.321], [0.465, 0.300, 0.008], [0.244, 0.038, 0.167], [0.000, 0.000, 0.679], [0.035, 0.800, 0.492], [0.256, 0.538, 0.333], [0.535, 0.700, 0.008], [0.035, 0.300, 0.992], [0.000, 0.000, 0.310], [0.750, 0.326, 0.500], [0.250, 0.823, 0.000], [0.500, 0.000, 0.690], [0.744, 0.962, 0.833], [0.000, 0.500, 0.810], [0.500, 0.500, 0.821]]
}


[4]
{
  "formula": "LiCr2O4",
  "functional": "PBE with a Hubbard U",
  "state": "optimized geometry",
  "e_tot_ev_per_atom": -7.094,
  "spacegroup": "P2/c",
  "lattice": [[0.001, -1.543, 2.521], [-1.690, 4.083, 2.499], [-8.775, -4.181, -2.552]],
  "species": ["Cr", "O", "O", "Li", "Cr", "O", "O", "O", "O", "Li", "O", "Cr", "O", "Cr"],
  "frac_coords": [[0.499, 0.250, 0.250], [0.515, 0.132, 0.852], [0.486, 0.369, 0.648], [0.503, 0.500, 0.000], [0.501, 0.751, 0.750], [0.485, 0.631, 0.352], [0.000, 0.605, 0.856], [0.514, 0.868, 0.148], [0.999, 0.395, 0.144], [0.497, 0.000, 0.500], [0.000, 0.104, 0.356], [0.000, 0.250, 0.750], [0.001, 0.896, 0.644], [0.999, 0.750, 0.250]]
}